First-principles (GGA-PBE) data for a relaxed AgW3Br7 crystal, as listed in Materials Project.

Calculated values
Space-group type: P2_1/c
Crystal system: monoclinic
Energy of formation from the pure elements in eV/atom: -0.819

abc: 16.0826 9.9873 10.2413
angles: 59.66 90.00 90.00
Closest atoms and distances in Å follow each position.
Atoms (fractional coordinates):
Ag 0.2875 0.0815 0.8325  3 Br 2.63-2.68
Ag 0.7875 0.9185 0.6675  3 Br 2.63-2.68
Ag 0.7125 0.9185 0.1675  3 Br 2.63-2.68
Ag 0.2125 0.0815 0.3325  3 Br 2.63-2.68
W 0.0596 0.3542 0.6705  5 Br 2.65-2.66, 4 W 2.65
W 0.5379 0.5933 0.1085  5 Br 2.65-2.66, 4 W 2.65-2.66
W 0.9621 0.5933 0.6085  5 Br 2.65-2.66, 4 W 2.65-2.66
W 0.4621 0.4067 0.8915  5 Br 2.65-2.66, 4 W 2.65-2.66
W 0.0379 0.4067 0.3915  5 Br 2.65-2.66, 4 W 2.65-2.66
W 0.5596 0.6458 0.8295  5 Br 2.65-2.66, 4 W 2.65
W 0.9404 0.6458 0.3295  5 Br 2.65-2.66, 4 W 2.65
W 0.4404 0.3542 0.1705  5 Br 2.65-2.66, 4 W 2.65
W 0.0928 0.6320 0.4349  5 Br 2.65-2.66, 4 W 2.65-2.66
W 0.5928 0.3680 0.0651  5 Br 2.65-2.66, 4 W 2.65-2.66
W 0.9072 0.3680 0.5651  5 Br 2.65-2.66, 4 W 2.65-2.66
W 0.4072 0.6320 0.9349  5 Br 2.65-2.66, 4 W 2.65-2.66
Br 0.5710 0.3153 0.3440  3 W 2.65
Br 0.7273 0.1895 0.1543  1 Ag 2.65, 1 W 2.65
Br 0.7727 0.1895 0.6543  1 Ag 2.65, 1 W 2.65
Br 0.2727 0.8105 0.8457  1 Ag 2.65, 1 W 2.65
Br 0.0871 0.2778 0.2322  1 Ag 2.63, 1 W 2.66
Br 0.5871 0.7222 0.2678  1 Ag 2.63, 1 W 2.66
Br 0.9129 0.7222 0.7678  1 Ag 2.63, 1 W 2.66
Br 0.4129 0.2778 0.7322  1 Ag 2.63, 1 W 2.66
Br 0.1415 0.1471 0.9139  1 W 2.65, 1 Ag 2.68
Br 0.6415 0.8529 0.5861  1 W 2.65, 1 Ag 2.68
Br 0.8585 0.8529 0.0861  1 W 2.65, 1 Ag 2.68
Br 0.3585 0.1471 0.4139  1 W 2.65, 1 Ag 2.68
Br 0.3858 0.5791 0.2145  3 W 2.65-2.66
Br 0.8858 0.4209 0.2855  3 W 2.65-2.66
Br 0.6142 0.4209 0.7855  3 W 2.65-2.66
Br 0.1902 0.3920 0.4961  3 W 2.65-2.66
Br 0.5046 0.8711 0.8726  3 W 2.65-2.66
Br 0.0046 0.1289 0.6274  3 W 2.65-2.66
Br 0.4954 0.1289 0.1274  3 W 2.65-2.66
Br 0.9954 0.8711 0.3726  3 W 2.65-2.66
Br 0.4290 0.6847 0.6560  3 W 2.65
Br 0.9290 0.3153 0.8440  3 W 2.65
Br 0.1142 0.5791 0.7145  3 W 2.65-2.66
Br 0.0710 0.6847 0.1560  3 W 2.65
Br 0.3098 0.3920 0.9961  3 W 2.65-2.66
Br 0.8098 0.6080 0.5039  3 W 2.65-2.66
Br 0.6902 0.6080 0.0039  3 W 2.65-2.66
Br 0.2273 0.8105 0.3457  1 Ag 2.65, 1 W 2.65